## Ba (PBE)

Data for an optimized crystal structure of Ba.

Cell lengths 5.030, 5.030, 5.030 Å; angles 90.00, 90.00, 90.00 degrees
Space group Im-3m (No. 229)
One atom of each set of equivalent atoms:
Ba 0.000 0.000 0.000 [2 per cell]

Calculated values
Energy = -1.919 eV/atom
E above lowest polymorph = 0 meV/atom
Theoretical density = 3583 kg/m³
Crystal system = cubic